The following is a DFT calculation (PBE) of crystalline Zr6Ga16Pd7 at its relaxed geometry.

Values from the calculation:
Magnetization: 0.03 μB per formula unit
Crystal system: cubic
Calculated formation energy: -17.4 eV/f.u.
Calculated volume: 1970 Å³ per cell

abc: 12.536 12.536 12.536
angles: 90.00 90.00 90.00
Space group Fm-3m (No. 225)
Unique sites:
Zr1 0.000 0.000 0.192 [24 per cell]
Ga1 0.121 0.121 0.379 [32 per cell]
Ga2 0.160 0.160 0.160 [32 per cell]
Pd1 0.000 0.000 0.500 [4 per cell]
Pd2 0.000 0.250 0.250 [24 per cell]


The following is a DFT calculation (PBE) of crystalline Cs2CuSi5O12 at its relaxed geometry.

Values from the calculation:
Magnetization: 1.00 μB per formula unit
Crystal system: orthorhombic
Calculated formation energy: -57.4 eV/f.u.
Calculated volume: 2650 Å³ per cell

abc: 13.812 13.873 13.831
angles: 90.00 90.00 90.00
Space group Pbca (No. 61)
Unique sites:
Cs1 0.114 0.115 0.122 [8 per cell]
Cs2 0.130 0.647 0.873 [8 per cell]
Cu1 0.161 0.568 0.380 [8 per cell]
Si1 0.090 0.611 0.160 [8 per cell]
Si2 0.092 0.149 0.837 [8 per cell]
Si3 0.121 0.678 0.592 [8 per cell]
Si4 0.122 0.136 0.417 [8 per cell]
Si5 0.175 0.095 0.632 [8 per cell]
O1 0.012 0.094 0.400 [8 per cell]
O2 0.028 0.646 0.659 [8 per cell]
O3 0.075 0.619 0.274 [8 per cell]
O4 0.107 0.658 0.479 [8 per cell]
O5 0.116 0.143 0.721 [8 per cell]
O6 0.130 0.245 0.372 [8 per cell]
O7 0.132 0.148 0.536 [8 per cell]
O8 0.144 0.068 0.901 [8 per cell]
O9 0.144 0.706 0.112 [8 per cell]
O10 0.163 0.522 0.127 [8 per cell]
O11 0.200 0.065 0.370 [8 per cell]
O12 0.209 0.616 0.644 [8 per cell]


The following is a DFT calculation (PBE) of crystalline CsAlTe3 at its relaxed geometry.

Values from the calculation:
Crystal system: monoclinic
Calculated formation energy: -4.5 eV/f.u.
Calculated volume: 830 Å³ per cell

abc: 8.298 14.136 7.308
angles: 90.00 104.36 90.00
Space group P2_1/c (No. 14)
Unique sites:
Cs1 0.245 0.080 0.210 [4 per cell]
Al1 0.321 0.727 0.349 [4 per cell]
Te1 0.044 0.679 0.852 [4 per cell]
Te2 0.219 0.571 0.155 [4 per cell]
Te3 0.496 0.169 0.824 [4 per cell]


The following is a DFT calculation (PBE) of crystalline ReO3F at its relaxed geometry.

Values from the calculation:
Crystal system: monoclinic
Calculated formation energy: -10.9 eV/f.u.
Calculated volume: 481 Å³ per cell

abc: 6.961 6.323 10.921
angles: 90.00 90.24 90.00
Space group P2/c (No. 13)
Unique sites:
Re1 0.000 0.039 0.250 [2 per cell]
Re2 0.335 0.278 0.857 [4 per cell]
O1 0.141 0.206 0.166 [4 per cell]
O2 0.167 0.042 0.882 [4 per cell]
O3 0.194 0.487 0.899 [4 per cell]
O4 0.479 0.237 0.982 [4 per cell]
O5 0.500 0.434 0.750 [2 per cell]
F1 0.166 0.233 0.690 [4 per cell]
F2 0.500 0.052 0.750 [2 per cell]


The following is a DFT calculation (PBE) of crystalline SrLu2Se4 at its relaxed geometry.

Values from the calculation:
Crystal system: orthorhombic
Calculated formation energy: -15.4 eV/f.u.
Calculated volume: 757 Å³ per cell

abc: 12.531 4.090 14.777
angles: 90.00 90.00 90.00
Space group Pnma (No. 62)
Unique sites:
Sr1 0.240 0.250 0.166 [4 per cell]
Lu1 0.061 0.250 0.389 [4 per cell]
Lu2 0.083 0.250 0.903 [4 per cell]
Se1 0.028 0.750 0.785 [4 per cell]
Se2 0.091 0.250 0.576 [4 per cell]
Se3 0.128 0.750 0.030 [4 per cell]
Se4 0.205 0.750 0.332 [4 per cell]


The following is a DFT calculation (PBE) of crystalline InC6N2Cl6 at its relaxed geometry.

Values from the calculation:
Magnetization: 0.99 μB per formula unit
Crystal system: tetragonal
Calculated formation energy: 3.7 eV/f.u.
Calculated volume: 7117 Å³ per cell

abc: 21.760 21.760 15.031
angles: 90.00 90.00 90.00
Space group I4_1/acd (No. 142, origin choice 2)
Unique sites:
In1 0.000 0.000 0.000 [16 per cell]
C1 0.023 0.128 0.162 [32 per cell]
C2 0.055 0.124 0.228 [32 per cell]
C3 0.125 0.115 0.358 [32 per cell]
N1 0.091 0.121 0.297 [32 per cell]
Cl1 0.018 0.132 0.572 [32 per cell]
Cl2 0.036 0.033 0.855 [32 per cell]
Cl3 0.108 0.001 0.051 [32 per cell]


- The highest calculated volume belongs to which entry?
  InC6N2Cl6


- What is the formula in the first record?
  Zr6Ga16Pd7


- What is the formula in the fourth record?
  ReO3F


- What is the calculated volume in the first record?
  1970 Å³ per cell